The following is a DFT calculation (GGA+U) of a relaxed LiMn4P3O12 crystal.

Cell: 9.943 16.958 6.449 Å, 90.00 90.00 90.00°
Fractional positions:
1 Li 0.221 0.098 0.000
2 Li 0.279 0.598 0.500
3 Li 0.721 0.402 0.500
4 Li 0.779 0.902 0.000
5 Mn 0.018 0.134 0.500
6 Mn 0.056 0.594 0.000
7 Mn 0.247 0.304 0.252
8 Mn 0.247 0.304 0.748
9 Mn 0.253 0.804 0.248
10 Mn 0.253 0.804 0.752
11 Mn 0.444 0.094 0.500
12 Mn 0.482 0.634 0.000
13 Mn 0.518 0.366 0.000
14 Mn 0.556 0.906 0.500
15 Mn 0.747 0.196 0.248
16 Mn 0.747 0.196 0.752
17 Mn 0.753 0.696 0.252
18 Mn 0.753 0.696 0.748
19 Mn 0.944 0.406 0.000
20 Mn 0.982 0.866 0.500
21 P 0.039 0.215 0.000
22 P 0.052 0.671 0.500
23 P 0.219 0.965 0.500
24 P 0.281 0.465 0.000
25 P 0.448 0.171 0.000
26 P 0.461 0.715 0.500
27 P 0.539 0.285 0.500
28 P 0.552 0.829 0.000
29 P 0.719 0.535 0.000
30 P 0.781 0.035 0.500
31 P 0.948 0.329 0.500
32 P 0.961 0.785 0.000
33 O 0.096 0.303 0.000
34 O 0.097 0.174 0.194
35 O 0.097 0.174 0.806
36 O 0.104 0.320 0.500
37 O 0.106 0.627 0.308
38 O 0.106 0.627 0.692
39 O 0.115 0.757 0.500
40 O 0.117 0.779 0.000
41 O 0.126 0.473 0.000
42 O 0.163 0.049 0.500
43 O 0.168 0.917 0.309
44 O 0.168 0.917 0.691
45 O 0.332 0.417 0.191
46 O 0.332 0.417 0.809
47 O 0.337 0.549 0.000
48 O 0.374 0.973 0.500
49 O 0.383 0.279 0.500
50 O 0.385 0.257 0.000
51 O 0.394 0.127 0.192
52 O 0.394 0.127 0.808
53 O 0.396 0.820 0.000
54 O 0.403 0.674 0.306
55 O 0.403 0.674 0.694
56 O 0.404 0.803 0.500
57 O 0.596 0.197 0.500
58 O 0.597 0.326 0.306
59 O 0.597 0.326 0.694
60 O 0.604 0.180 0.000
61 O 0.606 0.873 0.192
62 O 0.606 0.873 0.808
63 O 0.615 0.743 0.000
64 O 0.617 0.721 0.500
65 O 0.626 0.027 0.500
66 O 0.663 0.451 0.000
67 O 0.668 0.583 0.191
68 O 0.668 0.583 0.809
69 O 0.832 0.083 0.309
70 O 0.832 0.083 0.691
71 O 0.837 0.951 0.500
72 O 0.874 0.527 0.000
73 O 0.883 0.221 0.000
74 O 0.885 0.243 0.500
75 O 0.894 0.373 0.308
76 O 0.894 0.373 0.692
77 O 0.896 0.680 0.500
78 O 0.903 0.826 0.194
79 O 0.903 0.826 0.806
80 O 0.904 0.697 0.000

- relative energy among the computed polymorphs (eV per atom) = 0.016
- ΔE_f (eV per atom) = -2.53
- raw total energy (eV per atom) = -7.4978